# 1
LiNbNiO4 | the Materials Project | PBE with a Hubbard U | optimized geometry; energy above the most stable polymorph in this dataset = 0.00 eV/f.u.; crystal system = tetragonal; formation energy from the elements = -2.401 eV/atom
1.0
6.064 0.000 0.000
0.000 6.064 0.000
0.000 0.000 8.598
Li Nb Ni O
4 4 4 16
Direct
0.000 0.235 0.000 Li
0.000 0.765 0.500 Li
0.235 0.000 0.250 Li
0.765 0.000 0.750 Li
0.255 0.255 0.625 Nb
0.255 0.745 0.875 Nb
0.745 0.255 0.375 Nb
0.745 0.745 0.125 Nb
0.244 0.500 0.250 Ni
0.500 0.244 0.000 Ni
0.500 0.756 0.500 Ni
0.756 0.500 0.750 Ni
0.002 0.257 0.254 O
0.002 0.743 0.246 O
0.257 0.002 0.996 O
0.257 0.998 0.504 O
0.257 0.494 0.007 O
0.257 0.506 0.493 O
0.494 0.257 0.243 O
0.494 0.743 0.257 O
0.506 0.257 0.757 O
0.506 0.743 0.743 O
0.743 0.506 0.507 O
0.743 0.494 0.993 O
0.743 0.002 0.004 O
0.743 0.998 0.496 O
0.998 0.257 0.746 O
0.998 0.743 0.754 O

---

# 2
Li5Nb2Ni5O12 | the Materials Project | PBE with a Hubbard U | optimized geometry; energy above the most stable polymorph in this dataset = 0.05 eV/f.u.; crystal system = triclinic; formation energy from the elements = -2.012 eV/atom
1.0
-9.190 -2.844 2.397
-8.440 2.080 3.774
-2.967 -0.109 -4.198
Li Nb Ni O
5 2 5 12
Direct
0.706 0.709 0.043 Li
0.291 0.295 0.958 Li
0.622 0.626 0.628 Li
0.462 0.468 0.787 Li
0.956 0.963 0.292 Li
0.125 0.130 0.124 Nb
0.873 0.877 0.876 Nb
0.039 0.042 0.711 Ni
0.537 0.541 0.212 Ni
0.374 0.378 0.375 Ni
0.210 0.213 0.540 Ni
0.786 0.790 0.463 Ni
0.705 0.210 0.038 O
0.540 0.047 0.215 O
0.964 0.447 0.292 O
0.805 0.288 0.442 O
0.107 0.640 0.122 O
0.636 0.110 0.633 O
0.880 0.367 0.881 O
0.364 0.883 0.374 O
0.207 0.709 0.548 O
0.043 0.544 0.699 O
0.284 0.809 0.968 O
0.443 0.968 0.799 O

---

# 3
Li5Nb2Ni3O10 | the Materials Project | PBE with a Hubbard U | optimized geometry; crystal system = triclinic; formation energy from the elements = -2.209 eV/atom
1.0
5.211 0.000 0.000
0.900 5.141 0.000
2.516 2.117 7.160
Li Nb Ni O
5 2 3 10
Direct
0.506 0.776 0.397 Li
0.507 0.581 0.801 Li
0.000 0.500 0.500 Li
0.493 0.419 0.199 Li
0.494 0.224 0.603 Li
0.013 0.899 0.692 Nb
0.987 0.101 0.308 Nb
0.500 0.000 0.000 Ni
0.996 0.301 0.900 Ni
0.004 0.699 0.100 Ni
0.240 0.952 0.851 O
0.763 0.662 0.944 O
0.755 0.849 0.549 O
0.240 0.774 0.246 O
0.236 0.567 0.654 O
0.764 0.433 0.346 O
0.760 0.226 0.754 O
0.245 0.151 0.451 O
0.237 0.338 0.056 O
0.760 0.048 0.149 O

---

# 4
Li11Nb4Ni9O24 | the Materials Project | PBE with a Hubbard U | optimized geometry; crystal system = triclinic; formation energy from the elements = -2.103 eV/atom
1.0
-1.989 4.030 2.737
0.988 -3.249 8.698
8.485 3.684 3.430
Li Nb Ni O
11 4 9 24
Direct
0.728 0.586 0.979 Li
0.935 0.755 0.688 Li
0.557 0.250 0.814 Li
0.394 0.917 0.646 Li
0.857 0.073 0.607 Li
0.229 0.586 0.478 Li
0.898 0.915 0.146 Li
0.438 0.755 0.185 Li
0.068 0.250 0.311 Li
0.356 0.074 0.106 Li
0.273 0.409 0.023 Li
0.189 0.746 0.938 Nb
0.689 0.744 0.440 Nb
0.314 0.254 0.561 Nb
0.813 0.249 0.063 Nb
0.644 0.924 0.894 Ni
0.477 0.578 0.733 Ni
0.013 0.424 0.774 Ni
0.771 0.410 0.521 Ni
0.104 0.084 0.855 Ni
0.144 0.923 0.394 Ni
0.984 0.578 0.229 Ni
0.525 0.424 0.264 Ni
0.603 0.083 0.353 Ni
0.736 0.089 0.980 O
0.654 0.412 0.899 O
0.537 0.751 0.820 O
0.014 0.912 0.782 O
0.115 0.589 0.853 O
0.962 0.249 0.684 O
0.161 0.251 0.945 O
0.837 0.590 0.609 O
0.782 0.910 0.511 O
0.339 0.748 0.555 O
0.361 0.415 0.654 O
0.469 0.092 0.725 O
0.512 0.910 0.284 O
0.618 0.589 0.347 O
0.664 0.247 0.441 O
0.180 0.415 0.390 O
0.237 0.091 0.480 O
0.839 0.750 0.054 O
0.036 0.749 0.322 O
0.968 0.089 0.226 O
0.889 0.412 0.145 O
0.464 0.250 0.180 O
0.341 0.589 0.103 O
0.281 0.911 0.012 O

---

For each record above, in turn, the calculated total DFT energy (no corrections) values are -7.014, -6.057, -6.312, -6.120 eV/atom.